Record 1
First-principles (GGA-PBE) data for Na2Sc6Ta2Si3S9O48 after structural relaxation, as listed in the Materials Project.

```
Na2Sc6Ta2Si3S9O48
1.0
8.8718 0.0000 0.0000
0.0326 15.3705 0.0000
0.0335 0.0185 23.0414
Na Sc Ta Si S O
6 18 6 9 27 144
Direct
0.0000 0.0000 0.0000
0.0024 0.6613 0.3341
0.5056 0.1613 0.8382
0.5086 0.4984 0.4986
0.5134 0.1638 0.3320
0.9963 0.6640 0.8355
0.0010 0.6599 0.4792
0.0017 0.3350 0.8107
0.0074 0.6628 0.9819
0.0139 0.3303 0.0253
0.0140 0.6670 0.1840
0.4933 0.1688 0.6844
0.5007 0.1637 0.4807
0.5038 0.1649 0.1852
0.5041 0.1662 0.9827
0.5035 0.8319 0.5205
0.5079 0.8345 0.3080
0.5120 0.4978 0.6509
0.5150 0.4973 0.3549
0.5147 0.8346 0.8167
0.9928 0.3350 0.3147
0.9942 0.9976 0.8582
0.9950 0.9990 0.1497
0.9987 0.6594 0.6892
0.0083 0.0009 0.6446
0.4980 0.4975 0.1413
0.5120 0.8286 0.0206
0.5150 0.5036 0.8573
0.9943 0.0051 0.3545
0.9973 0.3273 0.5195
0.2167 0.1682 0.5828
0.2920 0.6684 0.0829
0.3589 0.3053 0.0838
0.6457 0.9799 0.9169
0.6563 0.6897 0.9162
0.7083 0.0009 0.2488
0.7965 0.4983 0.7499
0.8531 0.1887 0.4154
0.8589 0.4774 0.4166
0.1468 0.8544 0.2516
0.1486 0.1442 0.2507
0.1492 0.1877 0.9164
0.1492 0.8098 0.5846
0.1504 0.4763 0.9157
0.1505 0.5190 0.5831
0.2171 0.4987 0.2506
0.2171 0.8316 0.9173
0.2912 0.3322 0.4170
0.2923 0.9986 0.7508
0.3574 0.0184 0.0830
0.3579 0.9756 0.4160
0.3592 0.6879 0.4170
0.3603 0.6438 0.7510
0.3610 0.3544 0.7518
0.6473 0.3551 0.2496
0.6495 0.0194 0.5849
0.6489 0.3111 0.5831
0.6500 0.6419 0.2500
0.7125 0.6658 0.5833
0.7145 0.3317 0.9162
0.7949 0.8325 0.4163
0.7958 0.1649 0.0833
0.8586 0.1420 0.7504
0.8587 0.5202 0.0849
0.8598 0.8111 0.0832
0.8614 0.8549 0.7497
0.0734 0.7676 0.2469
0.0769 0.7749 0.5327
0.0792 0.2265 0.9685
0.0793 0.8977 0.3041
0.0793 0.9001 0.5958
0.0804 0.2289 0.2599
0.0813 0.4324 0.5740
0.0817 0.0991 0.9097
0.0823 0.4360 0.8641
0.0816 0.5588 0.6352
0.0833 0.1023 0.1995
0.0850 0.5645 0.9215
0.1045 0.0817 0.5983
0.1064 0.2521 0.5722
0.1182 0.0850 0.3041
0.1182 0.7551 0.9246
0.1189 0.5767 0.2432
0.1204 0.2404 0.8641
0.1222 0.9112 0.9120
0.1234 0.9068 0.1991
0.1241 0.7567 0.6364
0.1252 0.5754 0.5317
0.1258 0.4202 0.2554
0.1273 0.4242 0.9683
0.1811 0.3240 0.0739
0.1885 0.9883 0.6971
0.1912 0.6480 0.0270
0.1912 0.6826 0.1408
0.1924 0.0079 0.0904
0.1921 0.9841 0.4072
0.1939 0.6510 0.7451
0.1936 0.6799 0.4250
0.1947 0.3454 0.4704
0.1964 0.0140 0.8014
0.1984 0.3432 0.7599
0.2014 0.3178 0.3649
0.3066 0.8176 0.8645
0.3094 0.8433 0.2604
0.3116 0.5139 0.3023
0.3121 0.8236 0.5755
0.3125 0.8456 0.9700
0.3138 0.1490 0.2476
0.3141 0.1781 0.9224
0.3157 0.1812 0.6409
0.3156 0.5093 0.5900
0.3171 0.1465 0.5271
0.3171 0.4851 0.9052
0.3177 0.4884 0.1979
0.3818 0.0732 0.0313
0.3822 0.9197 0.7538
0.3836 0.9228 0.4692
0.3848 0.4066 0.6987
0.3857 0.4115 0.4126
0.3861 0.7408 0.3653
0.3866 0.5856 0.8034
0.3889 0.0764 0.7419
0.3888 0.2494 0.1418
0.3898 0.2552 0.4250
0.4007 0.7529 0.0716
0.4039 0.5837 0.0980
0.4245 0.0632 0.4228
0.4249 0.6023 0.6988
0.4259 0.5996 0.4115
0.4263 0.9307 0.0734
0.4268 0.7292 0.7591
0.4275 0.0554 0.1354
0.4275 0.7282 0.4698
0.4275 0.9349 0.3651
0.4291 0.3972 0.8034
0.4349 0.2673 0.7462
0.4348 0.4050 0.0977
0.4397 0.2680 0.0267
0.5691 0.5928 0.9068
0.5734 0.7338 0.9740
0.5733 0.9350 0.8598
0.5743 0.0759 0.9246
0.5782 0.7276 0.2577
0.5786 0.2683 0.2436
0.5786 0.3950 0.3022
0.5814 0.3988 0.5892
0.5832 0.0592 0.6367
0.5831 0.2708 0.5313
0.5831 0.5998 0.1983
0.5863 0.9321 0.5756
0.6079 0.0877 0.2464
0.6107 0.9150 0.9741
0.6129 0.4111 0.9058
0.6128 0.9143 0.2625
0.6138 0.5883 0.5896
0.6147 0.2560 0.9213
0.6158 0.4116 0.1983
0.6166 0.7439 0.5744
0.6195 0.7446 0.8591
0.6241 0.5880 0.3027
0.6281 0.2580 0.6356
0.6350 0.0735 0.5329
0.6752 0.4865 0.4126
0.6764 0.1733 0.4260
0.6790 0.5124 0.8071
0.6891 0.4845 0.6942
0.6911 0.5111 0.0959
0.6920 0.8207 0.0754
0.6950 0.1510 0.7415
0.6978 0.8474 0.7539
0.7008 0.8173 0.3653
0.7031 0.1481 0.0314
0.7026 0.8483 0.4689
0.7039 0.1777 0.1358
0.8032 0.3493 0.9680
0.8061 0.6798 0.6353
0.8085 0.3190 0.8641
0.8080 0.6513 0.5316
0.8116 0.3479 0.2549
0.8151 0.6522 0.2433
0.8165 0.3205 0.5752
0.8185 0.0084 0.5963
0.8206 0.9838 0.1949
0.8284 0.0118 0.3072
0.8314 0.9852 0.9119
0.8330 0.6733 0.9251
0.8747 0.5747 0.0329
0.8802 0.7581 0.1358
0.8851 0.0870 0.8015
0.8896 0.2427 0.0749
0.8900 0.2458 0.3596
0.8939 0.9108 0.4074
0.8950 0.7565 0.4245
0.8950 0.9112 0.6972
0.8965 0.0872 0.0898
0.8973 0.4154 0.4747
0.8980 0.4141 0.7621
0.8981 0.5864 0.7451
0.9209 0.4333 0.0760
0.9252 0.7709 0.0312
0.9257 0.5605 0.1366
0.9270 0.0970 0.6971
0.9268 0.8987 0.0892
0.9309 0.8944 0.8013
0.9317 0.2266 0.7557
0.9325 0.7685 0.7413
0.9330 0.5743 0.4258
0.9348 0.2334 0.4739
0.9367 0.4357 0.3602
0.9398 0.0921 0.4069
```

Properties
calculated density: 2.88 g cm⁻³
total magnetization: 0.0 μB per formula unit
ΔE_f: -2.6931 eV/atom
final energy: -1532.70 eV for the cell shown

Record 2
First-principles (GGA-PBE) data for Na2ScTa3Si4S2O24 after structural relaxation, as listed in the Materials Project.

```
Na2ScTa3Si4S2O24
1.0
8.8788 0.0000 0.0000
4.4281 7.7033 0.0000
0.0885 0.1395 23.0222
Na Sc Ta Si S O
6 3 9 12 6 72
Direct
0.0000 0.0000 0.0000
0.0022 0.0078 0.5003
0.3252 0.3314 0.6680
0.3386 0.3378 0.1646
0.6603 0.6725 0.3277
0.6693 0.6718 0.8330
0.3378 0.3157 0.5192
0.6702 0.6596 0.1870
0.6859 0.6629 0.6914
0.0092 0.9940 0.3535
0.0139 0.0001 0.6502
0.0147 0.9816 0.8588
0.3285 0.3307 0.8154
0.3406 0.3365 0.0198
0.3607 0.3200 0.3119
0.6710 0.6520 0.4789
0.6863 0.6525 0.9776
0.9949 0.9852 0.1443
0.0088 0.7059 0.7517
0.0535 0.3239 0.9190
0.2961 0.7067 0.2506
0.3002 0.9942 0.7534
0.3387 0.0399 0.4176
0.3460 0.6128 0.9164
0.6238 0.0429 0.9174
0.6304 0.3228 0.4194
0.6720 0.3748 0.0855
0.7212 0.9862 0.2515
0.9611 0.6538 0.0850
0.9651 0.3725 0.5861
0.0083 0.2823 0.2511
0.0486 0.6192 0.4176
0.3817 0.9533 0.0840
0.3826 0.6626 0.5852
0.6744 0.9507 0.5843
0.7179 0.2815 0.7518
0.0247 0.7977 0.4099
0.0259 0.1595 0.9082
0.0309 0.8072 0.6933
0.0383 0.1744 0.1994
0.1235 0.5129 0.3653
0.1388 0.3617 0.8608
0.1520 0.5474 0.4701
0.1551 0.3505 0.5786
0.1562 0.4880 0.0750
0.1655 0.2997 0.2599
0.1688 0.8074 0.1946
0.1701 0.0297 0.6945
0.1703 0.8045 0.9106
0.1721 0.0106 0.4069
0.1735 0.2958 0.9753
0.1875 0.5177 0.7579
0.1909 0.9777 0.8077
0.1939 0.8285 0.3077
0.2037 0.9745 0.0913
0.2052 0.8261 0.5894
0.2982 0.5199 0.2614
0.2997 0.1554 0.4743
0.3076 0.5281 0.9739
0.3136 0.1711 0.7581
0.3602 0.1298 0.0766
0.3596 0.5129 0.5764
0.3640 0.1379 0.3602
0.3719 0.4944 0.8596
0.4589 0.8457 0.0317
0.4637 0.6946 0.5309
0.4813 0.8214 0.7442
0.4851 0.8798 0.1368
0.4859 0.6412 0.6364
0.4857 0.6825 0.2483
0.5032 0.1358 0.8598
0.5063 0.3617 0.3608
0.5071 0.3413 0.0748
0.5096 0.6417 0.9269
0.5142 0.8472 0.4282
0.5227 0.1261 0.5782
0.5284 0.1686 0.2585
0.5336 0.1634 0.9743
0.5436 0.2994 0.4762
0.5458 0.2937 0.7554
0.6345 0.4893 0.1425
0.6431 0.8522 0.9270
0.6454 0.8731 0.6364
0.6498 0.5008 0.4262
0.6982 0.4537 0.7443
0.6981 0.4700 0.0273
0.6975 0.8220 0.2479
0.6990 0.8420 0.5315
0.8028 0.1711 0.6978
0.8077 0.0292 0.1943
0.8152 0.0239 0.9079
0.8241 0.1598 0.4071
0.8255 0.1999 0.8034
0.8351 0.9656 0.5899
0.8362 0.4728 0.5275
0.8371 0.9780 0.3080
0.8382 0.6937 0.0270
0.8397 0.6854 0.7476
0.8513 0.1815 0.0928
0.8527 0.4529 0.2483
0.8625 0.4992 0.9249
0.8658 0.4890 0.6409
0.8687 0.6429 0.4253
0.8783 0.6299 0.1431
0.9758 0.1778 0.5915
0.9813 0.8315 0.8072
0.9846 0.1965 0.3047
0.9856 0.8300 0.0907
```

Properties
calculated density: 3.78 g cm⁻³
total magnetization: 0.0 μB per formula unit
ΔE_f: -2.9389 eV/atom
final energy: -847.76 eV for the cell shown